i:
Compound: Li2FeBO4
Source: the Materials Project
Functional: PBE with a Hubbard U
Structure: optimized geometry

```
Li2FeBO4
1.0
-5.086 -0.543 -0.196
0.415 -4.494 1.688
-0.038 -2.334 7.478
B O Li Fe
2 8 4 2
direct
0.679 0.747 0.248 B
0.321 0.747 0.748 B
0.193 0.659 0.950 O
0.807 0.659 0.450 O
0.820 0.046 0.049 O
0.180 0.046 0.549 O
0.307 0.431 0.755 O
0.400 0.848 0.240 O
0.600 0.848 0.740 O
0.693 0.431 0.255 O
0.653 0.257 0.749 Li
0.814 0.507 0.996 Li
0.347 0.257 0.249 Li
0.186 0.507 0.496 Li
0.178 0.999 0.002 Fe
0.822 0.999 0.502 Fe
```

As for the symmetry: Pc. The value obtained for the size of the total moment is 5.0 μB/f.u.

ii:
Compound: Li2FeBO4
Source: the Materials Project
Functional: PBE with a Hubbard U
Structure: optimized geometry

```
Li2FeBO4
1.0
-1.677 -3.404 -3.257
4.567 -3.452 1.256
-5.582 -4.592 7.672
O Li Fe B
16 8 4 4
direct
0.284 0.039 0.852 O
0.289 0.250 0.555 O
0.284 0.461 0.852 O
0.216 0.039 0.352 O
0.369 0.750 0.603 O
0.711 0.750 0.445 O
0.716 0.539 0.148 O
0.789 0.750 0.945 O
0.784 0.539 0.648 O
0.716 0.961 0.148 O
0.131 0.750 0.103 O
0.211 0.250 0.055 O
0.784 0.961 0.648 O
0.869 0.250 0.897 O
0.631 0.250 0.397 O
0.216 0.461 0.352 O
0.676 0.504 0.831 Li
0.824 0.996 0.331 Li
0.176 0.004 0.669 Li
0.324 0.496 0.169 Li
0.324 0.004 0.169 Li
0.176 0.496 0.669 Li
0.676 0.996 0.831 Li
0.824 0.504 0.331 Li
0.321 0.750 0.424 Fe
0.679 0.250 0.576 Fe
0.179 0.750 0.924 Fe
0.821 0.250 0.076 Fe
0.329 0.250 0.411 B
0.171 0.250 0.911 B
0.671 0.750 0.589 B
0.829 0.750 0.089 B
```

As for the symmetry: Pnma. The value obtained for the size of the total moment is 5.0 μB/f.u.

Most stable of them? i.

i:
Compound: Ba2MgMnO4
Source: the Materials Project
Functional: PBE with a Hubbard U
Structure: optimized geometry

```
Ba2MgMnO4
1.0
-2.804 2.803 8.980
1.145 -1.145 7.845
2.844 1.185 -8.413
O Mn Ba Mg
4 1 2 1
direct
0.850 0.819 0.000 O
0.850 0.682 0.500 O
0.351 0.183 0.500 O
0.355 0.004 0.000 O
0.851 0.081 0.000 Mn
0.354 0.327 0.000 Ba
0.850 0.480 0.000 Ba
0.350 0.752 0.000 Mg
```

As for the symmetry: Cm. The value obtained for the size of the total moment is 5.0 μB/f.u.

ii:
Compound: Ba2MgMnO4
Source: the Materials Project
Functional: PBE with a Hubbard U
Structure: optimized geometry

```
Ba2MgMnO4
1.0
-0.907 -10.544 0.458
-5.050 -9.054 -2.181
4.297 9.592 -1.330
Ba O Mg Mn
2 4 1 1
direct
0.631 0.631 0.000 Ba
0.369 0.369 0.000 Ba
0.802 0.802 0.000 O
0.048 0.548 0.500 O
0.452 0.952 0.500 O
0.198 0.198 0.000 O
0.250 0.750 0.500 Mg
0.000 0.000 0.000 Mn
```

As for the symmetry: I-4m2. The value obtained for the size of the total moment is 5.0 μB/f.u.

Most stable of them? i.

i:
Compound: LiVF4
Source: the Materials Project
Functional: PBE with a Hubbard U
Structure: optimized geometry

```
LiVF4
1.0
1.983 7.791 0.000
-1.983 7.791 0.000
0.000 6.547 10.796
F Li V
16 4 4
direct
0.800 0.800 0.045 F
0.649 0.649 0.841 F
0.351 0.351 0.159 F
0.200 0.200 0.955 F
0.519 0.519 0.650 F
0.168 0.168 0.500 F
0.000 0.000 0.000 F
0.724 0.724 0.285 F
0.114 0.114 0.243 F
0.886 0.886 0.757 F
0.276 0.276 0.715 F
0.000 0.000 0.500 F
0.481 0.481 0.350 F
0.832 0.832 0.500 F
0.925 0.925 0.243 F
0.075 0.075 0.757 F
0.341 0.341 0.822 Li
0.800 0.800 0.665 Li
0.659 0.659 0.178 Li
0.200 0.200 0.335 Li
0.138 0.138 0.859 V
0.035 0.035 0.632 V
0.862 0.862 0.141 V
0.965 0.965 0.368 V
```

As for the symmetry: C2/m. The value obtained for the size of the total moment is 2.0 μB/f.u.

ii:
Compound: LiVF4
Source: the Materials Project
Functional: PBE with a Hubbard U
Structure: optimized geometry

```
LiVF4
1.0
4.082 -3.659 -1.460
4.587 -0.666 3.272
-5.648 0.128 0.521
F V Li
4 1 1
direct
0.197 0.197 0.000 F
0.982 0.482 0.500 F
0.803 0.803 0.000 F
0.518 0.018 0.500 F
0.000 0.000 0.000 V
0.750 0.250 0.500 Li
```

As for the symmetry: I-4m2. The value obtained for the size of the total moment is 2.0 μB/f.u.

Most stable of them? i.

i:
Compound: Fe3OF5
Source: the Materials Project
Functional: PBE with a Hubbard U
Structure: optimized geometry

```
Fe3OF5
1.0
-4.658 4.658 3.183
0.126 4.815 -3.224
-4.815 -0.126 -3.224
F Fe O
10 6 2
direct
0.016 0.309 0.688 F
0.667 0.036 0.631 F
0.667 0.631 0.036 F
0.024 0.786 0.786 F
0.692 0.107 0.107 F
0.641 0.560 0.560 F
0.317 0.357 0.979 F
0.016 0.688 0.309 F
0.309 0.881 0.881 F
0.317 0.979 0.357 F
0.167 0.333 0.333 Fe
0.667 0.333 0.333 Fe
0.497 0.996 0.996 Fe
0.012 0.021 0.021 Fe
0.836 0.671 0.671 Fe
0.321 0.646 0.646 Fe
0.950 0.252 0.252 O
0.383 0.415 0.415 O
```

As for the symmetry: C2/m. The value obtained for the size of the total moment is 13.0 μB/f.u.

ii:
Compound: Fe3OF5
Source: the Materials Project
Functional: PBE with a Hubbard U
Structure: optimized geometry

```
Fe3OF5
1.0
3.407 4.674 0.000
-3.407 4.674 0.000
0.000 2.723 6.989
Fe F O
6 10 2
direct
0.500 0.500 0.500 Fe
0.146 0.146 0.849 Fe
0.164 0.164 0.327 Fe
0.500 0.500 0.000 Fe
0.836 0.836 0.673 Fe
0.854 0.854 0.151 Fe
0.798 0.202 0.500 F
0.257 0.257 0.554 F
0.202 0.798 0.500 F
0.536 0.137 0.176 F
0.617 0.617 0.189 F
0.464 0.863 0.824 F
0.863 0.464 0.824 F
0.743 0.743 0.446 F
0.383 0.383 0.811 F
0.137 0.536 0.176 F
0.934 0.934 0.876 O
0.066 0.066 0.124 O
```

As for the symmetry: C2/m. The value obtained for the size of the total moment is 13.0 μB/f.u.

iii:
Compound: Fe3OF5
Source: the Materials Project
Functional: PBE with a Hubbard U
Structure: optimized geometry

```
Fe3OF5
1.0
4.849 0.000 0.000
0.105 5.828 0.000
0.166 0.518 7.913
F Fe O
10 6 2
direct
0.798 0.359 0.432 F
0.209 0.294 0.901 F
0.202 0.641 0.568 F
0.301 0.798 0.900 F
0.303 0.129 0.568 F
0.697 0.871 0.432 F
0.791 0.706 0.099 F
0.201 0.972 0.236 F
0.699 0.202 0.100 F
0.799 0.028 0.764 F
0.475 0.190 0.333 Fe
0.525 0.810 0.667 Fe
0.019 0.654 0.325 Fe
0.000 0.000 0.000 Fe
0.500 0.500 0.000 Fe
0.981 0.346 0.675 Fe
0.683 0.537 0.782 O
0.317 0.463 0.218 O
```

As for the symmetry: P-1. The value obtained for the size of the total moment is 13.0 μB/f.u.

iv:
Compound: Fe3OF5
Source: the Materials Project
Functional: PBE with a Hubbard U
Structure: optimized geometry

```
Fe3OF5
1.0
4.807 0.000 0.000
-0.016 5.807 0.000
-0.091 -0.366 8.066
O F Fe
2 10 6
direct
0.311 0.193 0.894 O
0.206 0.364 0.554 O
0.704 0.456 0.758 F
0.806 0.306 0.125 F
0.289 0.534 0.235 F
0.702 0.140 0.438 F
0.190 0.042 0.246 F
0.802 0.626 0.421 F
0.788 0.964 0.752 F
0.308 0.878 0.568 F
0.701 0.801 0.096 F
0.197 0.697 0.900 F
0.014 0.655 0.663 Fe
0.494 0.484 0.998 Fe
0.504 0.838 0.329 Fe
0.005 0.012 0.989 Fe
0.016 0.332 0.352 Fe
0.462 0.178 0.682 Fe
```

As for the symmetry: P1. The value obtained for the size of the total moment is 13.0 μB/f.u.

Most stable of them? ii.